Entry 1:
Below is a geometry-optimized K3BiTe3 structure, with properties calculated at the PBE-GGA level.

abc: 10.539 10.539 10.539
angles: 90.00 90.00 90.00
Positions (direct):
K 0.075 0.075 0.075
K 0.174 0.326 0.674
K 0.183 0.683 0.817
K 0.317 0.317 0.317
K 0.326 0.674 0.174
K 0.425 0.925 0.575
K 0.575 0.425 0.925
K 0.674 0.174 0.326
K 0.683 0.817 0.183
K 0.817 0.183 0.683
K 0.826 0.826 0.826
K 0.925 0.575 0.425
Bi 0.035 0.965 0.465
Bi 0.465 0.035 0.965
Bi 0.535 0.535 0.535
Bi 0.965 0.465 0.035
Te 0.000 0.227 0.383
Te 0.000 0.727 0.117
Te 0.117 0.000 0.727
Te 0.227 0.383 0.000
Te 0.273 0.617 0.500
Te 0.383 0.000 0.227
Te 0.500 0.273 0.617
Te 0.500 0.773 0.883
Te 0.617 0.500 0.273
Te 0.727 0.117 0.000
Te 0.773 0.883 0.500
Te 0.883 0.500 0.773

Computed properties:
Volume in Å³/cell: 1170
Maximum piezoelectric response in C/m2: 0.042
Energy of formation in eV per atom: -0.97
Calculated total energy in eV/atom: -3.1701


Entry 2:
Below is a geometry-optimized LiEr3 structure, with properties calculated at the PBE-GGA level.

abc: 6.915 6.915 5.496
angles: 90.00 90.00 120.00
Positions (direct):
Li 0.333 0.667 0.250
Li 0.667 0.333 0.750
Er 0.169 0.337 0.750
Er 0.169 0.831 0.750
Er 0.337 0.169 0.250
Er 0.663 0.831 0.750
Er 0.831 0.169 0.250
Er 0.831 0.663 0.250

Computed properties:
Magnetization in μB/f.u.: 0.66
Volume in Å³/cell: 228
Energy of formation in eV per atom: 0.18
Calculated total energy in eV/atom: -3.7183


Entry 3:
Below is a geometry-optimized CaCuGe2O6 structure, with properties calculated at the PBE-GGA level.

abc: 10.260 9.343 5.260
angles: 90.00 103.70 90.00
Positions (direct):
Ca 0.215 0.046 0.030
Ca 0.215 0.454 0.530
Ca 0.785 0.546 0.470
Ca 0.785 0.954 0.970
Cu 0.275 0.659 0.029
Cu 0.275 0.841 0.529
Cu 0.725 0.159 0.471
Cu 0.725 0.341 0.971
Ge 0.006 0.149 0.418
Ge 0.006 0.351 0.918
Ge 0.450 0.150 0.655
Ge 0.450 0.350 0.155
Ge 0.550 0.650 0.845
Ge 0.550 0.850 0.345
Ge 0.994 0.649 0.082
Ge 0.994 0.851 0.582
O 0.065 0.522 0.825
O 0.065 0.978 0.325
O 0.099 0.249 0.192
O 0.099 0.251 0.692
O 0.162 0.679 0.278
O 0.162 0.821 0.778
O 0.350 0.015 0.729
O 0.350 0.485 0.229
O 0.374 0.634 0.761
O 0.374 0.866 0.261
O 0.397 0.193 0.309
O 0.397 0.307 0.809
O 0.603 0.693 0.191
O 0.603 0.807 0.691
O 0.626 0.134 0.739
O 0.626 0.366 0.239
O 0.650 0.515 0.771
O 0.650 0.985 0.271
O 0.838 0.179 0.222
O 0.838 0.321 0.722
O 0.901 0.749 0.308
O 0.901 0.751 0.808
O 0.935 0.022 0.675
O 0.935 0.478 0.175

Computed properties:
Magnetization in μB/f.u.: 1.00
Volume in Å³/cell: 490
Energy of formation in eV per atom: -2.16
Calculated total energy in eV/atom: -6.2479


Entry 4:
Below is a geometry-optimized PbSe structure, with properties calculated at the PBE-GGA level.

abc: 6.503 6.503 4.497
angles: 90.00 90.00 141.06
Positions (direct):
Pb 0.130 0.870 0.750
Pb 0.870 0.130 0.250
Se 0.363 0.637 0.750
Se 0.637 0.363 0.250

Computed properties:
Volume in Å³/cell: 120
Energy of formation in eV per atom: -0.75
Calculated total energy in eV/atom: -4.1135